No. 1
{"formula": "MgMn6O8F4", "functional": "PBE+U", "state": "relaxed", "lattice": [[4.191, -3.255, 0.000], [4.191, 3.255, 0.000], [-0.338, 0.000, 8.991]], "species": ["Mg", "Mn", "Mn", "Mn", "Mn", "Mn", "Mn", "O", "O", "O", "O", "O", "O", "O", "O", "F", "F", "F", "F"], "fractional_positions": [[0.000, 0.000, 0.000], [0.292, 0.292, 0.371], [0.298, 0.298, 0.684], [0.334, 0.334, 0.007], [0.704, 0.704, 0.845], [0.753, 0.753, 0.193], [0.887, 0.887, 0.504], [0.003, 0.609, 0.350], [0.005, 0.625, 0.024], [0.132, 0.132, 0.518], [0.167, 0.167, 0.861], [0.438, 0.438, 0.524], [0.470, 0.470, 0.847], [0.609, 0.003, 0.350], [0.625, 0.005, 0.024], [0.153, 0.153, 0.170], [0.493, 0.493, 0.173], [0.638, 0.997, 0.684], [0.997, 0.638, 0.684]], "energy_corrected_mp2020_ev_per_atom": -7.635, "delta_e_f_mev_per_atom": -2171, "de_polymorph_mev_per_atom": 142}

---

No. 2
{"formula": "Li3Al2FeO6", "functional": "PBE+U", "state": "relaxed", "lattice": [[-1.695, 0.000, 4.826], [0.000, 8.659, 0.000], [-8.307, 0.000, -4.863]], "species": ["Li", "Li", "Li", "Li", "Li", "Li", "Li", "Li", "Li", "Li", "Li", "Li", "Al", "Al", "Al", "Al", "Al", "Al", "Al", "Al", "Fe", "Fe", "Fe", "Fe", "O", "O", "O", "O", "O", "O", "O", "O", "O", "O", "O", "O", "O", "O", "O", "O", "O", "O", "O", "O", "O", "O", "O", "O"], "fractional_positions": [[0.000, 0.500, 0.500], [0.250, 0.000, 0.750], [0.500, 0.500, 0.000], [0.750, 0.000, 0.250], [0.000, 0.167, 0.500], [0.250, 0.667, 0.750], [0.500, 0.167, 0.000], [0.750, 0.667, 0.250], [0.000, 0.833, 0.500], [0.250, 0.333, 0.750], [0.500, 0.833, 0.000], [0.750, 0.333, 0.250], [0.500, 0.333, 0.500], [0.750, 0.833, 0.750], [0.000, 0.333, 0.000], [0.250, 0.833, 0.250], [0.500, 0.667, 0.500], [0.750, 0.167, 0.750], [0.000, 0.667, 0.000], [0.250, 0.167, 0.250], [0.500, 0.000, 0.500], [0.750, 0.500, 0.750], [0.000, 0.000, 0.000], [0.250, 0.500, 0.250], [0.393, 0.500, 0.613], [0.643, 0.000, 0.863], [0.893, 0.500, 0.113], [0.143, 0.000, 0.363], [0.607, 0.500, 0.387], [0.857, 0.000, 0.637], [0.107, 0.500, 0.887], [0.357, 0.000, 0.137], [0.844, 0.326, 0.626], [0.094, 0.826, 0.876], [0.344, 0.326, 0.126], [0.594, 0.826, 0.376], [0.844, 0.674, 0.626], [0.094, 0.174, 0.876], [0.344, 0.674, 0.126], [0.594, 0.174, 0.376], [0.156, 0.326, 0.374], [0.406, 0.826, 0.624], [0.656, 0.326, 0.874], [0.906, 0.826, 0.124], [0.156, 0.674, 0.374], [0.406, 0.174, 0.624], [0.656, 0.674, 0.874], [0.906, 0.174, 0.124]], "energy_corrected_mp2020_ev_per_atom": -6.964, "delta_e_f_mev_per_atom": -2683, "de_polymorph_mev_per_atom": 0}

---

No. 3
{"formula": "Ba8Ca5Mn3Fe8F56", "functional": "PBE+U", "state": "relaxed", "lattice": [[5.464, 0.000, 0.000], [-2.728, 7.007, 0.000], [-0.136, -0.740, 30.573]], "species": ["Ba", "Ba", "Ba", "Ba", "Ba", "Ba", "Ba", "Ba", "Ca", "Ca", "Ca", "Ca", "Ca", "Mn", "Mn", "Mn", "Fe", "Fe", "Fe", "Fe", "Fe", "Fe", "Fe", "Fe", "F", "F", "F", "F", "F", "F", "F", "F", "F", "F", "F", "F", "F", "F", "F", "F", "F", "F", "F", "F", "F", "F", "F", "F", "F", "F", "F", "F", "F", "F", "F", "F", "F", "F", "F", "F", "F", "F", "F", "F", "F", "F", "F", "F", "F", "F", "F", "F", "F", "F", "F", "F", "F", "F", "F", "F"], "fractional_positions": [[0.143, 0.378, 0.311], [0.144, 0.379, 0.811], [0.235, 0.378, 0.561], [0.235, 0.380, 0.062], [0.765, 0.620, 0.938], [0.765, 0.622, 0.439], [0.856, 0.621, 0.189], [0.857, 0.622, 0.689], [0.449, 0.999, 0.874], [0.450, 0.000, 0.375], [0.500, 0.000, 0.000], [0.550, 0.000, 0.625], [0.551, 0.001, 0.126], [0.500, 0.000, 0.250], [0.500, 0.000, 0.500], [0.500, 0.000, 0.750], [0.120, 0.240, 0.188], [0.120, 0.240, 0.438], [0.120, 0.240, 0.688], [0.123, 0.243, 0.937], [0.877, 0.757, 0.063], [0.880, 0.760, 0.312], [0.880, 0.760, 0.562], [0.880, 0.760, 0.812], [0.052, 0.677, 0.361], [0.052, 0.677, 0.861], [0.075, 0.823, 0.009], [0.090, 0.828, 0.509], [0.096, 0.983, 0.422], [0.101, 0.985, 0.923], [0.112, 0.017, 0.828], [0.113, 0.017, 0.328], [0.156, 0.755, 0.601], [0.157, 0.754, 0.101], [0.167, 0.740, 0.274], [0.168, 0.741, 0.774], [0.194, 0.503, 0.454], [0.194, 0.506, 0.954], [0.262, 0.172, 0.241], [0.263, 0.172, 0.741], [0.309, 0.503, 0.704], [0.309, 0.504, 0.204], [0.348, 0.887, 0.189], [0.349, 0.887, 0.689], [0.375, 0.323, 0.389], [0.376, 0.324, 0.889], [0.400, 0.245, 0.649], [0.401, 0.246, 0.149], [0.428, 0.259, 0.476], [0.432, 0.268, 0.976], [0.456, 0.120, 0.065], [0.462, 0.113, 0.561], [0.538, 0.887, 0.439], [0.544, 0.880, 0.935], [0.568, 0.732, 0.024], [0.572, 0.741, 0.524], [0.599, 0.754, 0.851], [0.600, 0.755, 0.351], [0.624, 0.676, 0.111], [0.625, 0.677, 0.611], [0.651, 0.113, 0.311], [0.652, 0.113, 0.811], [0.691, 0.496, 0.796], [0.691, 0.497, 0.296], [0.737, 0.828, 0.259], [0.738, 0.828, 0.759], [0.806, 0.494, 0.046], [0.806, 0.497, 0.546], [0.832, 0.259, 0.226], [0.833, 0.260, 0.726], [0.843, 0.246, 0.899], [0.844, 0.245, 0.399], [0.887, 0.983, 0.672], [0.888, 0.983, 0.172], [0.899, 0.015, 0.077], [0.904, 0.017, 0.578], [0.910, 0.172, 0.491], [0.925, 0.177, 0.991], [0.948, 0.323, 0.139], [0.948, 0.323, 0.639]], "energy_corrected_mp2020_ev_per_atom": -6.306, "delta_e_f_mev_per_atom": -3458}

---

No. 4
{"formula": "Cs2NaMnF6", "functional": "PBE+U", "state": "relaxed", "lattice": [[3.188, 1.840, 10.417], [-3.188, 1.840, 10.417], [0.000, -3.681, 10.417]], "species": ["Cs", "Cs", "Cs", "Cs", "Na", "Na", "Mn", "Mn", "F", "F", "F", "F", "F", "F", "F", "F", "F", "F", "F", "F"], "fractional_positions": [[0.127, 0.127, 0.127], [0.284, 0.284, 0.284], [0.716, 0.716, 0.716], [0.873, 0.873, 0.873], [0.404, 0.404, 0.404], [0.596, 0.596, 0.596], [0.000, 0.000, 0.000], [0.500, 0.500, 0.500], [0.178, 0.604, 0.604], [0.187, 0.187, 0.737], [0.187, 0.737, 0.187], [0.263, 0.813, 0.813], [0.396, 0.396, 0.822], [0.396, 0.822, 0.396], [0.604, 0.178, 0.604], [0.604, 0.604, 0.178], [0.737, 0.187, 0.187], [0.813, 0.263, 0.813], [0.813, 0.813, 0.263], [0.822, 0.396, 0.396]], "energy_corrected_mp2020_ev_per_atom": -5.303, "delta_e_f_mev_per_atom": -2927, "de_polymorph_mev_per_atom": 0}

---

DFT total energy: -6.7215, -6.4325, -5.6947, -4.8590 (eV per atom)